# 1
NaPOF6 | PBE-GGA | relaxed

a b c (Å): 7.4700 7.4700 7.4700
angles (deg): 133.02 107.88 90.61
Closest atoms and distances in Å follow each position.
Element x y z (fractional)
P 0.0000 0.0000 0.0000  6 F 1.62-1.65
P 0.5000 0.5000 0.0000  6 F 1.62-1.65
F 0.0225 0.8792 0.1221  1 P 1.65
F 0.5225 0.4004 0.1433  1 P 1.65
F 0.7571 0.8792 0.8567  1 P 1.65
F 0.0079 0.7361 0.7282  1 P 1.62
O 0.7500 0.2748 0.5248  2 Na 2.58
F 0.5079 0.7798 0.2718  1 P 1.62
F 0.2571 0.4004 0.8779  1 P 1.65
F 0.4921 0.2202 0.7282  1 P 1.62
O 0.2500 0.7252 0.4752  2 Na 2.58
Na 0.5000 0.5000 0.5000  4 F 2.29
F 0.2429 0.1208 0.1433  1 P 1.65
F 0.9775 0.1208 0.8779  1 P 1.65
F 0.4775 0.5996 0.8567  1 P 1.65
F 0.7429 0.5996 0.1221  1 P 1.65
Na 0.0000 0.5000 0.0000  4 F 2.29
F 0.9921 0.2639 0.2718  1 P 1.62

Space group: Imma
Magnetic moment, μB/atom: 0.222


# 2
Cd43Pd8 | PBE-GGA | relaxed

a b c (Å): 10.1892 10.1892 10.1892
angles (deg): 89.91 89.91 89.91
Closest atoms and distances in Å follow each position.
Element x y z (fractional)
Cd 0.8576 0.5002 0.5002  9 Cd 2.89-3.21, 2 Pd 3.11
Cd 0.3046 0.6945 0.9542  2 Pd 2.90-2.91, 7 Cd 2.97-3.19
Cd 0.2940 0.0524 0.2940  2 Pd 2.87-2.91, 7 Cd 3.00-3.16
Cd 0.4988 0.1415 0.4988  9 Cd 2.89-3.22, 2 Pd 3.10-3.14
Cd 0.0073 0.0073 0.3455  6 Cd 2.87-3.03, 2 Pd 3.07
Cd 0.6945 0.9542 0.3046  2 Pd 2.90-2.91, 7 Cd 2.97-3.19
Cd 0.1055 0.9031 0.9031  8 Cd 2.87-3.04, 3 Pd 2.95-3.01
Pd 0.6718 0.6718 0.3286  12 Cd 2.89-3.14
Cd 0.0524 0.2940 0.2940  2 Pd 2.87-2.91, 7 Cd 3.00-3.16
Cd 0.1925 0.4548 0.8076  2 Pd 2.88-2.95, 8 Cd 2.97-3.22
Cd 0.3455 0.0073 0.0073  6 Cd 2.87-3.03, 2 Pd 3.07
Cd 0.9031 0.1055 0.9031  8 Cd 2.87-3.04, 3 Pd 2.95-3.01
Cd 0.6962 0.0472 0.6962  2 Pd 2.89-2.93, 8 Cd 3.00-3.17
Cd 0.1415 0.4988 0.4988  9 Cd 2.89-3.22, 2 Pd 3.10-3.14
Cd 0.9542 0.3046 0.6945  2 Pd 2.90-2.91, 7 Cd 2.97-3.19
Cd 0.4548 0.1925 0.8076  2 Pd 2.88-2.95, 8 Cd 2.97-3.22
Cd 0.6945 0.3046 0.9542  2 Pd 2.90-2.91, 7 Cd 2.97-3.19
Cd 0.1925 0.8076 0.4548  2 Pd 2.88-2.95, 8 Cd 2.97-3.22
Cd 0.3046 0.9542 0.6945  2 Pd 2.90-2.91, 7 Cd 2.97-3.19
Cd 0.8076 0.4548 0.1925  2 Pd 2.88-2.95, 8 Cd 2.97-3.22
Cd 0.5459 0.8070 0.8070  2 Pd 2.90-2.95, 8 Cd 2.95-3.20
Pd 0.6718 0.3286 0.6718  12 Cd 2.89-3.14
Cd 0.8076 0.1925 0.4548  2 Pd 2.88-2.95, 8 Cd 2.97-3.22
Cd 0.5421 0.1932 0.1932  2 Pd 2.88-2.92, 8 Cd 2.97-3.19
Cd 0.0073 0.3455 0.0073  6 Cd 2.87-3.03, 2 Pd 3.07
Pd 0.8291 0.8291 0.8291  12 Cd 2.90-3.10
Cd 0.4988 0.4988 0.1415  9 Cd 2.89-3.22, 2 Pd 3.10-3.14
Cd 0.6051 0.6051 0.6051  9 Cd 2.97-3.04, 3 Pd 2.98
Cd 0.9031 0.9031 0.1055  8 Cd 2.87-3.04, 3 Pd 2.95-3.01
Cd 0.5002 0.5002 0.8576  9 Cd 2.89-3.21, 2 Pd 3.11
Cd 0.9993 0.6426 0.9993  9 Cd 2.95-3.19, 2 Pd 3.10-3.12
Cd 0.4548 0.8076 0.1925  2 Pd 2.88-2.95, 8 Cd 2.97-3.22
Cd 0.6055 0.3941 0.3941  3 Pd 2.96-2.98, 9 Cd 2.97-3.04
Pd 0.8233 0.1735 0.1735  11 Cd 2.88-3.12
Cd 0.0472 0.6962 0.6962  2 Pd 2.89-2.93, 8 Cd 3.00-3.17
Pd 0.1735 0.1735 0.8233  11 Cd 2.88-3.12
Cd 0.3941 0.6055 0.3941  3 Pd 2.96-2.98, 9 Cd 2.97-3.04
Cd 0.6962 0.6962 0.0472  2 Pd 2.89-2.93, 8 Cd 3.00-3.17
Cd 0.1932 0.1932 0.5421  2 Pd 2.88-2.92, 8 Cd 2.97-3.19
Cd 0.8070 0.5459 0.8070  2 Pd 2.90-2.95, 8 Cd 2.95-3.20
Cd 0.2940 0.2940 0.0524  2 Pd 2.87-2.91, 7 Cd 3.00-3.16
Cd 0.8070 0.8070 0.5459  2 Pd 2.90-2.95, 8 Cd 2.95-3.20
Pd 0.3296 0.3296 0.3296  12 Cd 2.87-3.10
Pd 0.1735 0.8233 0.1735  11 Cd 2.88-3.12
Cd 0.3941 0.3941 0.6055  3 Pd 2.96-2.98, 9 Cd 2.97-3.04
Cd 0.5002 0.8576 0.5002  9 Cd 2.89-3.21, 2 Pd 3.11
Cd 0.1932 0.5421 0.1932  2 Pd 2.88-2.92, 8 Cd 2.97-3.19
Pd 0.3286 0.6718 0.6718  12 Cd 2.89-3.14
Cd 0.6426 0.9993 0.9993  9 Cd 2.95-3.19, 2 Pd 3.10-3.12
Cd 0.9542 0.6945 0.3046  2 Pd 2.90-2.91, 7 Cd 2.97-3.19
Cd 0.9993 0.9993 0.6426  9 Cd 2.95-3.19, 2 Pd 3.10-3.12

Space group: R3m


# 3
Tm4MgRh | PBE-GGA | relaxed

a b c (Å): 9.5825 9.5825 9.5825
angles (deg): 60.00 60.00 60.00
Closest atoms and distances in Å follow each position.
Element x y z (fractional)
Tm 0.4371 0.0629 0.4371  2 Rh 2.79
Rh 0.3919 0.3919 0.8242  6 Tm 2.79
Tm 0.4371 0.4371 0.0629  2 Rh 2.79
Rh 0.3919 0.3919 0.3919  6 Tm 2.79
Tm 0.1860 0.1860 0.8140  2 Mg 3.27, 2 Rh 3.48, 10 Tm 3.48-3.60
Tm 0.1860 0.8140 0.8140  2 Mg 3.27, 2 Rh 3.48, 10 Tm 3.48-3.60
Tm 0.0629 0.4371 0.4371  2 Rh 2.79
Tm 0.8140 0.8140 0.1860  2 Mg 3.27, 2 Rh 3.48, 10 Tm 3.48-3.60
Rh 0.8242 0.3919 0.3919  6 Tm 2.79
Tm 0.4371 0.0629 0.0629  2 Rh 2.79
Tm 0.2088 0.5971 0.5971  3 Rh 2.79
Tm 0.1860 0.8140 0.1860  2 Mg 3.27, 2 Rh 3.48, 10 Tm 3.48-3.60
Mg 0.8298 0.8298 0.5107  3 Mg 3.06, 3 Tm 3.27
Mg 0.5107 0.8298 0.8298  3 Mg 3.06, 3 Tm 3.27
Mg 0.8298 0.8298 0.8298  3 Mg 3.06, 3 Tm 3.27
Tm 0.5971 0.5971 0.5971  3 Rh 2.79
Tm 0.5971 0.5971 0.2088  3 Rh 2.79
Mg 0.8298 0.5107 0.8298  3 Mg 3.06, 3 Tm 3.27
Rh 0.3919 0.8242 0.3919  6 Tm 2.79
Tm 0.8140 0.1860 0.1860  2 Mg 3.27, 2 Rh 3.48, 10 Tm 3.48-3.60
Tm 0.0629 0.4371 0.0629  2 Rh 2.79
Tm 0.0629 0.0629 0.4371  2 Rh 2.79
Tm 0.5971 0.2088 0.5971  3 Rh 2.79
Tm 0.8140 0.1860 0.8140  2 Mg 3.27, 2 Rh 3.48, 10 Tm 3.48-3.60

Space group: F-43m


# 4
Nd2EuS4 | PBE-GGA | relaxed

a b c (Å): 7.4807 7.4807 7.4807
angles (deg): 109.31 109.31 109.79
Closest atoms and distances in Å follow each position.
Element x y z (fractional)
S 0.7301 0.9800 0.0998  4 Nd 2.86-3.08, 2 Eu 2.93-3.10
Eu 0.5000 0.5000 0.0000  8 S 2.93-3.10
Nd 0.6250 0.7478 0.6228  8 S 2.86-3.08
S 0.3697 0.2699 0.2499  4 Nd 2.86-3.08, 2 Eu 2.93-3.10
S 0.5199 0.1197 0.7499  4 Nd 2.86-3.08, 2 Eu 2.93-3.10
S 0.2300 0.4801 0.5998  4 Nd 2.86-3.08, 2 Eu 2.93-3.10
S 0.0200 0.1198 0.7501  4 Nd 2.86-3.08, 2 Eu 2.93-3.10
Nd 0.9978 0.3750 0.1228  8 S 2.86-3.08
S 0.8802 0.6303 0.9002  4 Nd 2.86-3.08, 2 Eu 2.93-3.10
Nd 0.2522 0.8750 0.8772  8 S 2.86-3.08
S 0.8803 0.6302 0.4002  4 Nd 2.86-3.08, 2 Eu 2.93-3.10
S 0.3698 0.7700 0.2501  4 Nd 2.86-3.08, 2 Eu 2.93-3.10
Nd 0.1250 0.0022 0.3772  8 S 2.86-3.08
Eu 0.7500 0.2500 0.5000  8 S 2.93-3.10

Space group: I-42d


# 5
TlTe3Mo3 | PBE-GGA | relaxed

a b c (Å): 4.6117 9.7711 9.6805
angles (deg): 119.44 90.00 90.00
Closest atoms and distances in Å follow each position.
Element x y z (fractional)
Te 0.2500 0.9570 0.6421  4 Mo 2.84-2.89
Mo 0.2500 0.1456 0.9781  6 Mo 2.66-2.77, 4 Te 2.84-2.89
Tl 0.7500 0.6644 0.3311  9 Te 3.55-3.75
Mo 0.2500 0.0197 0.1680  6 Mo 2.67-2.77, 4 Te 2.84-2.89
Mo 0.7500 0.1655 0.1462  6 Mo 2.66-2.77, 4 Te 2.84-2.88
Tl 0.2500 0.3356 0.6689  9 Te 3.55-3.75
Mo 0.2500 0.8345 0.8538  6 Mo 2.66-2.77, 4 Te 2.84-2.88
Te 0.7500 0.6478 0.6896  4 Mo 2.84-2.88
Mo 0.7500 0.8544 0.0219  6 Mo 2.66-2.77, 4 Te 2.84-2.89
Te 0.7500 0.0430 0.3579  4 Mo 2.84-2.89
Te 0.7500 0.3099 0.9526  4 Mo 2.84-2.89
Te 0.2500 0.3522 0.3104  4 Mo 2.84-2.88
Mo 0.7500 0.9803 0.8320  6 Mo 2.67-2.77, 4 Te 2.84-2.89
Te 0.2500 0.6901 0.0474  4 Mo 2.84-2.89

Space group: P2_1/m
Magnetic moment, μB/atom: 0.001


# 6
NaMg6B | PBE-GGA | relaxed

a b c (Å): 4.8344 6.3406 10.9428
angles (deg): 90.00 90.00 90.00
Closest atoms and distances in Å follow each position.
Element x y z (fractional)
Mg 0.5000 0.2514 0.0864  8 Mg 3.01-3.19, 2 B 3.11-3.21, 2 Na 3.15-3.17
Mg 0.0000 0.5000 0.1644  10 Mg 3.01-3.19, 2 Na 3.06
Mg 0.5000 0.2486 0.5864  8 Mg 3.01-3.19, 2 B 3.11-3.21, 2 Na 3.15-3.17
Mg 0.5000 0.7486 0.0864  8 Mg 3.01-3.19, 2 B 3.11-3.21, 2 Na 3.15-3.17
Mg 0.0000 0.2317 0.4108  6 Mg 2.94-3.19, 2 B 2.96, 2 Na 3.07
Mg 0.0000 0.0000 0.1751  2 B 2.96, 8 Mg 2.97-3.17
Mg 0.0000 0.0000 0.6644  10 Mg 3.01-3.19, 2 Na 3.06
Mg 0.0000 0.5000 0.6751  2 B 2.96, 8 Mg 2.97-3.17
Na 0.5000 0.5000 0.3356  10 Mg 3.06-3.17, 2 B 3.17
Mg 0.0000 0.7317 0.9108  6 Mg 2.94-3.19, 2 B 2.96, 2 Na 3.07
B 0.5000 0.0000 0.3305  10 Mg 2.96-3.21, 2 Na 3.17
B 0.5000 0.5000 0.8305  10 Mg 2.96-3.21, 2 Na 3.17
Mg 0.5000 0.7514 0.5864  8 Mg 3.01-3.19, 2 B 3.11-3.21, 2 Na 3.15-3.17
Na 0.5000 0.0000 0.8356  10 Mg 3.06-3.17, 2 B 3.17
Mg 0.0000 0.2683 0.9108  6 Mg 2.94-3.19, 2 B 2.96, 2 Na 3.07
Mg 0.0000 0.7683 0.4108  6 Mg 2.94-3.19, 2 B 2.96, 2 Na 3.07

Magnetic moment, μB/atom: 0.000


# 7
Ce3Si4Rh4 | PBE-GGA | relaxed

a b c (Å): 4.0061 4.1684 12.6495
angles (deg): 80.52 80.89 90.00
Closest atoms and distances in Å follow each position.
Element x y z (fractional)
Si 0.4522 0.4522 0.0957  1 Si 2.36, 2 Rh 2.44
Ce 0.0000 0.0000 0.0000  8 Si 3.12, 4 Rh 3.16
Rh 0.2500 0.2500 0.4999  4 Si 2.38-2.45
Si 0.3025 0.8025 0.3950  5 Rh 2.38-2.45
Rh 0.7500 0.7500 0.5001  4 Si 2.38-2.45
Si 0.5478 0.5478 0.9043  1 Si 2.36, 2 Rh 2.44
Rh 0.5991 0.0991 0.8017  3 Si 2.42-2.44
Ce 0.1449 0.6449 0.7102  8 Rh 3.10-3.32, 6 Si 3.12-3.17
Rh 0.4009 0.9009 0.1983  3 Si 2.42-2.44
Ce 0.8551 0.3551 0.2898  8 Rh 3.10-3.32, 6 Si 3.12-3.17
Si 0.6975 0.1975 0.6050  5 Rh 2.38-2.45

Space group: Immm


# 8
HF | PBE-GGA | relaxed

a b c (Å): 2.7869 2.7869 5.1810
angles (deg): 90.00 90.00 106.43
Closest atoms and distances in Å follow each position.
Element x y z (fractional)
H 0.5522 0.4478 0.0442  1 F 0.95
F 0.7469 0.2531 0.1178  1 H 0.95
H 0.4478 0.5522 0.5442  1 F 0.95
F 0.2531 0.7469 0.6178  1 H 0.95

Space group: Cmc2_1
Magnetic moment, μB/atom: 0.000
Largest piezoelectric modulus, C/m²: 2.65


no.,formation enthalpy at 0 K (eV per atom)
1,-2.425
2,-0.161
3,-0.413
4,-2.382
5,-0.286
6,0.414
7,-1.016
8,-1.694